First-principles (PBE) data for a geometry-optimized NaCNO2 structure, as listed in Materials Project.

Unit cell a=4.1768 b=10.1737 c=7.2946 alpha=90.00 beta=114.47 gamma=90.00
Closest atoms and distances in Å follow each position.
Space group P2_1/c (No. 14)
Symmetry-distinct sites (fractional):
Na1 0.1086 0.2308 0.4366 (multiplicity 4)  3 O 2.40-2.47, 2 N 2.46-2.52
C1 0.4075 0.5174 0.7534 (multiplicity 4)  2 O 1.24-1.36, 1 N 1.30
N1 0.2434 0.0935 0.1895 (multiplicity 4)  1 C 1.30
O1 0.3052 0.5567 0.2178 (multiplicity 4)  1 C 1.36
O2 0.3740 0.6355 0.7849 (multiplicity 4)  1 C 1.24

Values from the calculation:
The energy is -0.465 Ry per atom.